# 1
VASP calculation (PBE) on a geometry-optimized Pr2Sn2O7 structure.

```
Pr2Sn2O7
1.0
0.0000 5.3816 5.3816
5.3816 0.0000 5.3816
5.3816 5.3816 0.0000
Pr Sn O
4 4 14
Cartesian
0.0000 0.0000 0.0000
2.6908 2.6908 0.0000
2.6908 0.0000 2.6908
0.0000 2.6908 2.6908
5.3816 2.6908 2.6908
2.6908 5.3816 2.6908
2.6908 2.6908 5.3816
5.3816 5.3816 5.3816
1.3454 1.3454 1.3454
4.0362 4.0362 1.7959
4.0362 1.7959 4.0362
6.2764 4.0362 4.0362
6.7270 6.7270 4.4867
6.7270 4.4867 6.7270
8.9672 6.7270 6.7270
1.7959 4.0362 4.0362
4.0362 6.2764 4.0362
4.0362 4.0362 6.2764
4.4867 6.7270 6.7270
6.7270 8.9672 6.7270
6.7270 6.7270 8.9672
9.4178 9.4178 9.4178
```

energy of formation: -2958 meV per atom

=====

# 2
VASP calculation (PBE) on a geometry-optimized PrZnSn2O6 structure.

```
PrZnSn2O6
1.0
8.1729 0.0000 0.0000
0.0000 6.1399 0.0000
0.0000 0.0000 5.5795
Pr Zn Sn O
2 2 4 12
Cartesian
0.0000 1.0512 0.0000
4.0864 5.0887 2.7898
0.0000 5.3459 2.7587
4.0864 0.7940 5.5484
1.9972 4.4023 5.4616
2.0893 1.7376 2.6719
6.0836 1.7376 2.6719
6.1757 4.4023 5.4616
0.0000 1.4470 3.2179
0.0000 4.8285 4.6698
1.5377 5.7953 1.5358
1.5823 2.6099 0.8213
2.5041 3.5300 3.6111
2.5488 0.3446 4.3256
4.0864 1.3114 1.8800
4.0864 4.6929 0.4282
5.6241 0.3446 4.3256
5.6688 3.5300 3.6111
6.5906 2.6099 0.8213
6.6352 5.7953 1.5358
```

energy of formation: -2293 meV per atom

=====

# 3
VASP calculation (PBE) on a geometry-optimized SrPrO3 structure.

```
SrPrO3
1.0
6.3937 0.0000 0.0000
0.0000 8.8875 0.0000
0.0000 0.0000 6.1798
Sr Pr O
4 4 12
Cartesian
0.3404 2.2219 0.1395
2.8565 6.6656 3.2294
3.5372 2.2219 2.9504
6.0533 6.6656 6.0403
0.0000 0.0000 3.0899
0.0000 4.4437 3.0899
3.1968 0.0000 0.0000
3.1968 4.4437 0.0000
0.4077 6.6656 2.2791
1.3058 5.0837 4.9251
1.3058 8.2475 4.9251
1.8911 0.6400 1.8352
1.8911 3.8038 1.8352
2.7892 2.2219 5.3691
3.6045 6.6656 0.8108
4.5026 5.0837 4.3447
4.5026 8.2475 4.3447
5.0879 0.6400 1.2547
5.0879 3.8038 1.2547
5.9860 2.2219 3.9007
```

energy of formation: -3000 meV per atom

=====

# 4
VASP calculation (PBE) on a geometry-optimized Sr3Pr4O9 structure.

```
Sr3Pr4O9
1.0
7.0380 0.0000 0.0000
-2.7780 8.8003 0.0000
-1.2140 -0.7220 9.7124
Sr Pr O
6 8 18
Cartesian
0.0000 0.0000 0.0000
-1.1241 3.6464 0.0273
2.0986 2.5626 1.3228
2.9238 -0.3783 7.8471
3.0217 3.6293 4.8736
2.2221 7.3387 5.0909
-2.3296 5.9268 7.2430
-0.9617 2.2821 6.7463
1.3346 -0.2593 4.1922
-0.3576 5.0787 4.3648
0.5320 7.3684 1.1168
1.5373 4.7151 8.1813
3.8255 5.8270 2.2423
5.2273 1.5812 3.0453
-1.5853 3.1912 4.6797
-0.6459 0.5376 5.0656
-0.1371 1.8721 1.5857
-1.0711 6.8261 2.6811
0.1249 3.0553 8.9831
2.5125 0.4202 0.1102
-0.2869 7.2716 5.7024
-0.2710 6.1139 8.6255
0.8310 3.9699 6.1039
1.6692 5.1356 3.1946
2.8704 1.3140 3.6789
2.5706 7.9778 2.0052
4.2945 3.5616 1.9359
2.6244 6.8382 7.3803
4.7759 0.9873 8.2221
4.1292 3.7849 7.2300
4.5860 6.0738 0.0289
4.2497 5.9743 4.8168
```

energy of formation: -3317 meV per atom

=====

# 5
VASP calculation (PBE) on a geometry-optimized PrTa3O9 structure.

```
PrTa3O9
1.0
5.4726 0.0000 0.0000
0.0000 7.6392 0.0000
-0.3560 0.0000 8.2946
Pr Ta O
2 6 18
Cartesian
0.0346 1.9098 3.6015
5.0820 5.7294 4.6931
0.0000 0.0000 0.0000
0.0000 3.8196 0.0000
2.3430 0.0511 5.7945
2.3430 3.7685 5.7945
2.7736 3.8707 2.5001
2.7736 7.5881 2.5001
0.0832 1.9098 8.1656
0.5693 4.2294 6.5296
0.5693 7.2294 6.5296
1.2911 4.0997 3.8743
1.2911 7.3591 3.8743
1.6920 4.1644 1.0146
1.6920 7.2944 1.0146
1.7193 1.9098 5.4883
2.3193 1.9098 2.5906
2.7973 5.7294 5.7040
3.3973 5.7294 2.8063
3.4246 0.3448 7.2800
3.4246 3.4748 7.2800
3.8255 0.2801 4.4203
3.8255 3.5395 4.4203
4.5473 0.4098 1.7650
4.5473 3.4098 1.7650
5.0334 5.7294 0.1290
```

energy of formation: -3506 meV per atom

=====

# 6
VASP calculation (PBE) on a geometry-optimized Pr2Ta2O9 structure.

```
Pr2Ta2O9
1.0
6.7548 0.0000 0.0000
0.0000 3.9082 0.0000
-5.9754 0.0000 14.4633
Pr Ta O
4 4 18
Cartesian
0.0927 0.0170 2.8190
-2.8950 1.9372 10.0507
3.6744 1.9711 4.4127
0.6867 3.8913 11.6443
-1.4389 0.0163 6.6733
-4.4267 1.9379 13.9049
5.2060 1.9704 0.5584
2.2183 3.8920 7.7901
-1.3988 0.0101 4.6969
-4.3865 1.9440 11.9286
0.5816 1.9575 1.1660
-2.4062 3.9049 8.3977
-1.6272 1.9625 6.5473
-4.6149 3.8998 13.7789
1.2810 1.9845 4.0609
-1.7067 3.8779 11.2925
0.3897 0.0000 7.2317
3.3774 1.9541 0.0000
2.4860 0.0304 3.1708
-0.5017 1.9238 10.4025
5.3943 0.0084 0.6844
2.4065 1.9457 7.9161
3.1855 0.0034 6.0657
0.1978 1.9508 13.2973
5.1659 1.9643 2.5348
2.1781 3.8981 9.7664
```

energy of formation: -3253 meV per atom

=====

no.,energy (eV for the cell shown)
1,-159.9
2,-125.1
3,-137.0
4,-231.2
5,-248.6
6,-227.8